Crystalline NaCaHfPS2O12 at its relaxed geometry. Source: the Materials Project database, functional PBE-GGA.

As for the energy of formation from the pure elements: -2696 meV/atom. Its energy is -7.035 eV/atom.

abc: 9.087 9.069 23.027
angles: 89.71 90.00 120.07
Positions (direct):
O 0.138 0.520 0.579
O 0.334 0.461 0.363
O 0.335 0.865 0.252
O 0.874 0.543 0.423
O 0.785 0.799 0.198
O 0.804 0.803 0.585
O 0.455 0.327 0.031
O 0.482 0.186 0.246
O 0.144 0.628 0.079
O 0.210 0.178 0.802
O 0.208 0.001 0.591
O 0.537 0.655 0.258
O 0.486 0.365 0.136
O 0.798 0.003 0.694
O 0.048 0.848 0.413
O 0.489 0.122 0.636
O 0.204 0.215 0.090
O 0.374 0.861 0.581
O 0.154 0.195 0.413
O 0.872 0.327 0.531
O 0.535 0.659 0.864
O 0.153 0.455 0.969
O 0.205 0.003 0.194
O 0.127 0.461 0.863
O 0.461 0.334 0.421
O 0.968 0.789 0.803
O 0.816 0.532 0.746
O 0.704 0.186 0.746
O 0.822 0.293 0.247
O 0.676 0.141 0.420
O 0.484 0.628 0.579
O 0.717 0.532 0.246
O 0.156 0.696 0.469
O 0.530 0.865 0.752
O 0.669 0.543 0.923
O 0.383 0.520 0.079
O 0.302 0.844 0.971
O 0.816 0.960 0.412
O 0.540 0.696 0.969
O 0.821 0.789 0.303
O 0.338 0.875 0.861
O 0.014 0.799 0.698
O 0.823 0.029 0.804
O 0.207 0.207 0.696
O 0.793 0.001 0.091
O 0.118 0.655 0.758
O 0.537 0.875 0.361
O 0.633 0.122 0.136
O 0.471 0.293 0.747
O 0.639 0.509 0.637
O 0.144 0.960 0.912
O 0.129 0.459 0.255
O 0.457 0.126 0.531
O 0.487 0.861 0.081
O 0.867 0.535 0.027
O 0.302 0.455 0.469
O 0.330 0.459 0.755
O 0.123 0.659 0.364
O 0.206 0.029 0.304
O 0.968 0.178 0.302
O 0.800 0.848 0.913
O 0.465 0.141 0.920
O 0.879 0.365 0.636
O 0.011 0.215 0.590
O 0.874 0.334 0.921
O 0.870 0.509 0.137
O 0.543 0.844 0.471
O 0.041 0.195 0.913
O 0.001 0.207 0.196
O 0.669 0.126 0.031
O 0.668 0.535 0.527
O 0.998 0.803 0.085
S 0.985 0.697 0.750
S 0.973 0.353 0.583
S 0.380 0.353 0.083
S 0.319 0.366 0.416
S 0.632 0.681 0.917
S 0.047 0.366 0.916
S 0.300 0.286 0.749
S 0.651 0.031 0.084
S 0.380 0.031 0.584
S 0.049 0.681 0.417
S 0.713 0.697 0.250
S 0.986 0.286 0.249
Na 0.008 0.972 0.003
Na 0.319 0.687 0.171
Na 0.651 0.296 0.337
Na 0.644 0.296 0.837
Na 0.964 0.972 0.503
Na 0.368 0.687 0.671
P 0.711 0.015 0.748
P 0.657 0.621 0.581
P 0.304 0.015 0.248
P 0.641 0.959 0.414
P 0.964 0.621 0.081
P 0.318 0.959 0.914
Hf 0.995 0.000 0.852
Hf 0.668 0.336 0.685
Hf 0.323 0.674 0.019
Hf 0.350 0.674 0.519
Hf 0.667 0.336 0.185
Hf 0.006 0.000 0.352
Ca 0.338 0.677 0.312
Ca 0.668 0.333 0.479
Ca 0.665 0.333 0.979
Ca 0.991 0.996 0.645
Ca 0.339 0.677 0.812
Ca 0.004 0.996 0.145